DFT (PBE) results for a relaxed YMg3 crystal.

Properties
* density: 2.68 Mg/m³
* uncorrected energy: -0.2131 Ry per atom

a = 6.698 Å, b = 6.698 Å, c = 5.168 Å
α = 90.00°, β = 90.00°, γ = 120.00°
Atoms (fractional coordinates):
Y: 0.333 0.667 0.250
Y: 0.667 0.333 0.750
Mg: 0.162 0.325 0.750
Mg: 0.162 0.838 0.750
Mg: 0.325 0.162 0.250
Mg: 0.675 0.838 0.750
Mg: 0.838 0.162 0.250
Mg: 0.838 0.675 0.250